[1]
The following is a DFT calculation (PBE with a Hubbard U) of an optimized crystal structure of MgTi2Mn2O6.

abc: 3.050 5.565 7.880
angles: 106.75 100.34 90.31
Space group P-1 (No. 2)
Symmetry-distinct sites (fractional):
Mg 0.000 0.000 0.000 x1
Ti 0.341 0.987 0.652 x2
Mn 0.139 0.494 0.288 x2
O 0.096 0.820 0.201 x2
O 0.236 0.251 0.501 x2
O 0.419 0.775 0.831 x2

Output
energy above the lowest structure with this stoichiometry = 0 meV per atom
energy relative to the elements = -2.702 eV/atom
calculated density = 4.30 g/cm³

[2]
The following is a DFT calculation (PBE with a Hubbard U) of an optimized crystal structure of K2WO8.

abc: 11.8813 11.8813 26.4365
angles: 90.00 90.00 120.00
Space group R-3c (No. 167, hexagonal axes)
Symmetry-distinct sites (fractional):
K 0.0000 0.0000 0.0000 x6
K 0.0000 0.0000 0.1674 x12
K 0.0000 0.3565 0.2500 x18
W 0.0000 0.3174 0.7500 x18
O 0.0198 0.1856 0.4036 x36
O 0.0268 0.2491 0.8153 x36
O 0.0533 0.2293 0.0485 x36
O 0.0879 0.5165 0.3778 x36

Output
energy relative to the elements = -1.314 eV/atom
calculated density = 3.61 g/cm³

[3]
The following is a DFT calculation (PBE with a Hubbard U) of an optimized crystal structure of Li5FeO4.

abc: 9.258 9.310 9.301
angles: 90.00 90.00 90.00
Space group Pbca (No. 61)
Symmetry-distinct sites (fractional):
Li 0.104 0.156 0.118 x8
Li 0.107 0.647 0.873 x8
Li 0.125 0.120 0.854 x8
Li 0.142 0.607 0.611 x8
Li 0.162 0.119 0.390 x8
Fe 0.118 0.616 0.146 x8
O 0.001 0.743 0.032 x8
O 0.017 0.004 0.249 x8
O 0.241 0.746 0.248 x8
O 0.246 0.534 0.006 x8

Output
energy above the lowest structure with this stoichiometry = 0 meV per atom
energy relative to the elements = -2.042 eV/atom
calculated density = 2.56 g/cm³

[4]
The following is a DFT calculation (PBE with a Hubbard U) of an optimized crystal structure of CaW2O4.

abc: 6.6437 6.6437 16.4994
angles: 90.00 90.00 120.00
Space group R3m (No. 160, hexagonal axes)
Symmetry-distinct sites (fractional):
Ca 0.0000 0.0000 0.0000 x3
Ca 0.0000 0.0000 0.3704 x3
W 0.0000 0.0000 0.5753 x3
W 0.1670 0.3339 0.8286 x9
O 0.0000 0.0000 0.2298 x3
O 0.0000 0.0000 0.7694 x3
O 0.0267 0.5134 0.7603 x9
O 0.1752 0.3505 0.5726 x9

Output
energy above the lowest structure with this stoichiometry = 123 meV per atom
energy relative to the elements = -1.948 eV/atom
calculated density = 7.45 g/cm³

[5]
The following is a DFT calculation (PBE with a Hubbard U) of an optimized crystal structure of CoAgO2.

abc: 3.0437 3.0437 24.9407
angles: 90.00 90.00 120.00
Space group P6_3/mmc (No. 194)
Symmetry-distinct sites (fractional):
Co 0.3333 0.6667 0.1250 x4
Ag 0.0000 0.0000 0.0000 x2
Ag 0.3333 0.6667 0.7500 x2
O 0.0000 0.0000 0.0844 x4
O 0.3333 0.6667 0.6656 x4

Output
energy relative to the elements = -0.937 eV/atom
calculated density = 6.60 g/cm³

[6]
The following is a DFT calculation (PBE with a Hubbard U) of an optimized crystal structure of ZnNi2O4.

abc: 5.927 5.959 8.267
angles: 90.00 90.00 90.00
Space group Imma (No. 74)
Symmetry-distinct sites (fractional):
Zn 0.250 0.250 0.250 x4
Ni 0.000 0.000 0.000 x4
Ni 0.000 0.250 0.631 x4
O 0.000 0.007 0.236 x8
O 0.238 0.250 0.998 x8

Output
energy above the lowest structure with this stoichiometry = 137 meV per atom
energy relative to the elements = -1.094 eV/atom
calculated density = 5.61 g/cm³

[7]
The following is a DFT calculation (PBE with a Hubbard U) of an optimized crystal structure of Al9Fe2Si4O24.

abc: 7.890 16.779 5.710
angles: 90.00 90.71 90.00
Space group C2/m (No. 12)
Symmetry-distinct sites (fractional):
Al 0.000 0.000 0.000 x2
Al 0.000 0.324 0.500 x4
Al 0.000 0.325 0.000 x4
Al 0.238 0.087 0.737 x8
Fe 0.118 0.500 0.740 x4
Si 0.134 0.165 0.242 x8
O 0.000 0.089 0.230 x8
O 0.022 0.399 0.249 x8
O 0.023 0.249 0.249 x8
O 0.232 0.000 0.966 x4
O 0.242 0.339 0.988 x8
O 0.243 0.500 0.463 x4
O 0.246 0.339 0.519 x8

Output
energy relative to the elements = -3.145 eV/atom
calculated density = 3.74 g/cm³

[8]
The following is a DFT calculation (PBE with a Hubbard U) of an optimized crystal structure of SmNiO3.

abc: 5.548 7.631 5.347
angles: 90.00 90.00 90.00
Space group Pnma (No. 62)
Symmetry-distinct sites (fractional):
Sm 0.061 0.250 0.015 x4
Ni 0.000 0.000 0.500 x4
O 0.021 0.750 0.412 x4
O 0.204 0.546 0.795 x8

Output
energy relative to the elements = -2.453 eV/atom
calculated density = 7.54 g/cm³